Entry 1:
VASP calculation (GGA+U) on a relaxed Li4Ni3SbO8 crystal.

abc: 5.9846 5.9846 5.9846
angles: 59.97 59.97 59.97
With the nearest neighbours (Å) after each atom.
Fractional positions:
Li1 0.0000 0.0000 0.0000  6 O 2.22
Li2 0.0000 0.5000 0.5000  6 O 2.13-2.23
Li3 0.5000 0.0000 0.5000  6 O 2.13-2.23
Li4 0.5000 0.5000 0.0000  6 O 2.13-2.23
Ni1 0.0000 0.0000 0.5000  6 O 2.01-2.11
Ni2 0.0000 0.5000 0.0000  6 O 2.01-2.11
Ni3 0.5000 0.0000 0.0000  6 O 2.01-2.11
Sb1 0.5000 0.5000 0.5000  6 O 2.02
O1 0.2373 0.2373 0.2373  3 Ni 2.01, 3 Li 2.23
O2 0.2592 0.7382 0.7382  1 Sb 2.02, 2 Ni 2.11, 3 Li 2.13-2.22
O3 0.2618 0.2618 0.7408  1 Sb 2.02, 2 Ni 2.11, 3 Li 2.13-2.22
O4 0.2618 0.7408 0.2618  1 Sb 2.02, 2 Ni 2.11, 3 Li 2.13-2.22
O5 0.7382 0.2592 0.7382  1 Sb 2.02, 2 Ni 2.11, 3 Li 2.13-2.22
O6 0.7382 0.7382 0.2592  1 Sb 2.02, 2 Ni 2.11, 3 Li 2.13-2.22
O7 0.7408 0.2618 0.2618  1 Sb 2.02, 2 Ni 2.11, 3 Li 2.13-2.22
O8 0.7627 0.7627 0.7627  3 Ni 2.01, 3 Li 2.23

## Properties
**SG**: No. 166
**Raw total energy**: -5.26 eV per atom
**Energy of formation from the pure elements**: -1.786 eV per atom

=====

Entry 2:
VASP calculation (GGA+U) on a relaxed TiNi3Sn2P6O24 crystal.

abc: 8.4858 8.4858 8.4858
angles: 61.44 61.44 61.44
With the nearest neighbours (Å) after each atom.
Fractional positions:
Ti1 0.0000 0.0000 0.0000  3 O 1.86
Ni1 0.2985 0.2985 0.2985  6 O 1.95-2.15
Ni2 0.5016 0.5016 0.5016  6 O 1.97-2.20
Ni3 0.7952 0.7952 0.7952  6 O 1.96-2.11
Sn1 0.1516 0.1516 0.1516  6 O 2.11-2.16
Sn2 0.6510 0.6510 0.6510  6 O 2.11-2.12
P1 0.1048 0.6929 0.3996  4 O 1.50-1.63
P2 0.1943 0.6014 0.8967  4 O 1.48-1.58
P3 0.3996 0.1048 0.6929  4 O 1.50-1.63
P4 0.6014 0.8967 0.1943  4 O 1.48-1.58
P5 0.6929 0.3996 0.1048  4 O 1.50-1.63
P6 0.8967 0.1943 0.6014  4 O 1.48-1.58
O1 0.0458 0.6392 0.8263  1 P 1.48
O2 0.0540 0.2169 0.4005  1 P 1.58
O3 0.0832 0.9017 0.2376  1 P 1.63
O4 0.1367 0.5492 0.3240  1 P 1.50
O5 0.1425 0.7615 0.9727  1 P 1.57
O6 0.2169 0.4005 0.0540  1 P 1.58
O7 0.2376 0.0832 0.9017  1 P 1.63
O8 0.2530 0.6667 0.4660  1 P 1.50
O9 0.3240 0.1367 0.5492  1 P 1.50
O10 0.3971 0.5940 0.7466  1 P 1.57
O11 0.4005 0.0540 0.2169  1 P 1.58
O12 0.4660 0.2530 0.6667  1 P 1.50
O13 0.5492 0.3240 0.1367  1 P 1.50
O14 0.5518 0.8984 0.7186  1 P 1.59
O15 0.5940 0.7466 0.3971  1 P 1.57
O16 0.6392 0.8263 0.0458  1 P 1.48
O17 0.6667 0.4660 0.2530  1 P 1.50
O18 0.7186 0.5518 0.8984  1 P 1.59
O19 0.7466 0.3971 0.5940  1 P 1.57
O20 0.7615 0.9727 0.1425  1 P 1.57
O21 0.8263 0.0458 0.6392  1 P 1.48
O22 0.8984 0.7186 0.5518  1 P 1.59
O23 0.9017 0.2376 0.0832  1 P 1.63
O24 0.9727 0.1425 0.7615  1 P 1.57

## Properties
**SG**: No. 146
**Raw total energy**: -6.83 eV per atom
**Energy of formation from the pure elements**: -2.378 eV per atom

=====

Copy entry 1 word for word.
VASP calculation (GGA+U) on a relaxed Li4Ni3SbO8 crystal.

abc: 5.9846 5.9846 5.9846
angles: 59.97 59.97 59.97
With the nearest neighbours (Å) after each atom.
Fractional positions:
Li1 0.0000 0.0000 0.0000  6 O 2.22
Li2 0.0000 0.5000 0.5000  6 O 2.13-2.23
Li3 0.5000 0.0000 0.5000  6 O 2.13-2.23
Li4 0.5000 0.5000 0.0000  6 O 2.13-2.23
Ni1 0.0000 0.0000 0.5000  6 O 2.01-2.11
Ni2 0.0000 0.5000 0.0000  6 O 2.01-2.11
Ni3 0.5000 0.0000 0.0000  6 O 2.01-2.11
Sb1 0.5000 0.5000 0.5000  6 O 2.02
O1 0.2373 0.2373 0.2373  3 Ni 2.01, 3 Li 2.23
O2 0.2592 0.7382 0.7382  1 Sb 2.02, 2 Ni 2.11, 3 Li 2.13-2.22
O3 0.2618 0.2618 0.7408  1 Sb 2.02, 2 Ni 2.11, 3 Li 2.13-2.22
O4 0.2618 0.7408 0.2618  1 Sb 2.02, 2 Ni 2.11, 3 Li 2.13-2.22
O5 0.7382 0.2592 0.7382  1 Sb 2.02, 2 Ni 2.11, 3 Li 2.13-2.22
O6 0.7382 0.7382 0.2592  1 Sb 2.02, 2 Ni 2.11, 3 Li 2.13-2.22
O7 0.7408 0.2618 0.2618  1 Sb 2.02, 2 Ni 2.11, 3 Li 2.13-2.22
O8 0.7627 0.7627 0.7627  3 Ni 2.01, 3 Li 2.23

## Properties
**SG**: No. 166
**Raw total energy**: -5.26 eV per atom
**Energy of formation from the pure elements**: -1.786 eV per atom

=====

> raw total energy of number 2 (TiNi3Sn2P6O24)?

-6.83 eV per atom

=====

> energy of formation from the pure elements of number 2 (TiNi3Sn2P6O24)?

-2.378 eV per atom